1.
This record from Materials Project describes La3Al4Si6 after structural relaxation. The functional is GGA-PBE.

a b c (Å): 4.2033 4.2033 18.4811
angles (deg): 90.00 90.00 120.00
With the nearest neighbours (Å) after each atom.
Fractional coordinates of all 13 atoms:
1 La 0.0000 0.0000 0.8878  9 Si 3.14-3.23
2 La 0.0000 0.0000 0.5000  6 Si 3.10
3 La 0.0000 0.0000 0.1122  9 Si 3.14-3.23
4 Al 0.6667 0.3333 0.2562  4 Si 2.52-2.58
5 Al 0.3333 0.6667 0.3578  4 Si 2.52-2.54
6 Al 0.6667 0.3333 0.6422  4 Si 2.52-2.54
7 Al 0.3333 0.6667 0.7438  4 Si 2.52-2.58
8 Si 0.3333 0.6667 0.2201  4 Al 2.52-2.54
9 Si 0.6667 0.3333 0.3955  4 Al 2.52-2.58
10 Si 0.3333 0.6667 0.9968  3 Si 2.43
11 Si 0.6667 0.3333 0.0032  3 Si 2.43
12 Si 0.3333 0.6667 0.6045  4 Al 2.52-2.58
13 Si 0.6667 0.3333 0.7799  4 Al 2.52-2.54

E: -5.28 eV per atom
ΔE_f: -0.45 eV/atom


2.
This record from Materials Project describes LaTi2Al20 after structural relaxation. The functional is GGA-PBE.

a b c (Å): 10.4410 10.4410 10.4410
angles (deg): 60.00 60.00 60.00
With the nearest neighbours (Å) after each atom.
Fractional coordinates of all 46 atoms:
1 Al 0.2992 0.8327 0.5688  8 Al 2.76-2.97, 1 Ti 2.85
2 Al 0.2992 0.5688 0.8327  8 Al 2.76-2.97, 1 Ti 2.85
3 Al 0.5688 0.8327 0.2992  8 Al 2.76-2.97, 1 Ti 2.85
4 Al 0.9508 0.9508 0.4173  8 Al 2.76-2.97, 1 Ti 2.85
5 Al 0.6812 0.9508 0.9508  8 Al 2.76-2.97, 1 Ti 2.85
6 Al 0.6250 0.6250 0.1250  12 Al 3.16, 2 La 3.20
7 Al 0.3873 0.3873 0.1127  2 Ti 2.62, 10 Al 2.76-2.90
8 Al 0.1373 0.1373 0.8627  2 Ti 2.62, 10 Al 2.76-2.90
9 Al 0.8327 0.5688 0.2992  8 Al 2.76-2.97, 1 Ti 2.85
10 Al 0.4173 0.6812 0.9508  8 Al 2.76-2.97, 1 Ti 2.85
11 Al 0.9508 0.9508 0.6812  8 Al 2.76-2.97, 1 Ti 2.85
12 Al 0.9508 0.4173 0.6812  8 Al 2.76-2.97, 1 Ti 2.85
13 Al 0.1373 0.8627 0.1373  2 Ti 2.62, 10 Al 2.76-2.90
14 Al 0.5688 0.2992 0.2992  8 Al 2.76-2.97, 1 Ti 2.85
15 Al 0.6812 0.4173 0.9508  8 Al 2.76-2.97, 1 Ti 2.85
16 Al 0.4173 0.9508 0.6812  8 Al 2.76-2.97, 1 Ti 2.85
17 Al 0.2992 0.5688 0.2992  8 Al 2.76-2.97, 1 Ti 2.85
18 Al 0.9508 0.6812 0.9508  8 Al 2.76-2.97, 1 Ti 2.85
19 Al 0.2992 0.2992 0.5688  8 Al 2.76-2.97, 1 Ti 2.85
20 Al 0.1127 0.3873 0.1127  2 Ti 2.62, 10 Al 2.76-2.90
21 Al 0.6812 0.9508 0.4173  8 Al 2.76-2.97, 1 Ti 2.85
22 Al 0.6250 0.1250 0.6250  12 Al 3.16, 2 La 3.20
23 Al 0.8627 0.8627 0.1373  2 Ti 2.62, 10 Al 2.76-2.90
24 Al 0.8627 0.1373 0.1373  2 Ti 2.62, 10 Al 2.76-2.90
25 Al 0.8327 0.2992 0.2992  8 Al 2.76-2.97, 1 Ti 2.85
26 Al 0.3873 0.1127 0.3873  2 Ti 2.62, 10 Al 2.76-2.90
27 Al 0.5688 0.2992 0.8327  8 Al 2.76-2.97, 1 Ti 2.85
28 Al 0.3873 0.1127 0.1127  2 Ti 2.62, 10 Al 2.76-2.90
29 Al 0.9508 0.4173 0.9508  8 Al 2.76-2.97, 1 Ti 2.85
30 Al 0.8627 0.1373 0.8627  2 Ti 2.62, 10 Al 2.76-2.90
31 Al 0.1250 0.6250 0.6250  12 Al 3.16, 2 La 3.20
32 Al 0.9508 0.6812 0.4173  8 Al 2.76-2.97, 1 Ti 2.85
33 Al 0.4173 0.9508 0.9508  8 Al 2.76-2.97, 1 Ti 2.85
34 Al 0.2992 0.8327 0.2992  8 Al 2.76-2.97, 1 Ti 2.85
35 Al 0.8327 0.2992 0.5688  8 Al 2.76-2.97, 1 Ti 2.85
36 Al 0.6250 0.6250 0.6250  12 Al 3.16, 2 La 3.20
37 Al 0.1127 0.3873 0.3873  2 Ti 2.62, 10 Al 2.76-2.90
38 Al 0.2992 0.2992 0.8327  8 Al 2.76-2.97, 1 Ti 2.85
39 Al 0.1127 0.1127 0.3873  2 Ti 2.62, 10 Al 2.76-2.90
40 Al 0.1373 0.8627 0.8627  2 Ti 2.62, 10 Al 2.76-2.90
41 Ti 0.1250 0.1250 0.6250  12 Al 2.62-2.85
42 Ti 0.1250 0.6250 0.1250  12 Al 2.62-2.85
43 Ti 0.6250 0.1250 0.1250  12 Al 2.62-2.85
44 Ti 0.1250 0.1250 0.1250  12 Al 2.62-2.85
45 La 0.5000 0.5000 0.5000  16 Al 3.20-3.27
46 La 0.7500 0.7500 0.7500  16 Al 3.20-3.27

E: -4.40 eV per atom
ΔE_f: -0.25 eV/atom


3.
This record from Materials Project describes LaAlZn after structural relaxation. The functional is GGA-PBE.

a b c (Å): 5.8814 5.8814 7.7073
angles (deg): 50.41 50.41 47.10
With the nearest neighbours (Å) after each atom.
Fractional coordinates of all 6 atoms:
1 La 0.4636 0.4636 0.7897  6 Zn 3.15-3.48, 6 Al 3.21-3.48
2 La 0.5364 0.5364 0.2103  6 Zn 3.15-3.48, 6 Al 3.21-3.48
3 Zn 0.1639 0.1639 0.7788  3 Al 2.71-2.97, 1 Zn 2.71
4 Zn 0.8361 0.8361 0.2212  3 Al 2.71-2.97, 1 Zn 2.71
5 Al 0.1624 0.1624 0.3951  1 Al 2.65, 2 Zn 2.71
6 Al 0.8376 0.8376 0.6049  1 Al 2.65, 2 Zn 2.71

E: -3.75 eV per atom
ΔE_f: -0.44 eV/atom


4.
This record from Materials Project describes La2AlZn after structural relaxation. The functional is GGA-PBE.

a b c (Å): 3.7701 3.7701 7.6210
angles (deg): 90.00 90.00 90.00
With the nearest neighbours (Å) after each atom.
Fractional coordinates of all 4 atoms:
1 La 0.0000 0.0000 0.2515  4 Zn 3.27, 4 Al 3.28
2 La 0.0000 0.0000 0.7485  4 Zn 3.27, 4 Al 3.28
3 Al 0.5000 0.5000 0.0000  8 La 3.28
4 Zn 0.5000 0.5000 0.5000  8 La 3.27

Magnetization: 0.02 Bohr magnetons per cell
E: -4.06 eV per atom
ΔE_f: -0.34 eV/atom


5.
This record from Materials Project describes LaAl2Zn2 after structural relaxation. The functional is GGA-PBE.

a b c (Å): 4.2611 4.2611 6.2985
angles (deg): 109.77 109.77 90.00
With the nearest neighbours (Å) after each atom.
Fractional coordinates of all 5 atoms:
1 Al 0.7500 0.2500 0.5000  4 Zn 2.61
2 Al 0.2500 0.7500 0.5000  4 Zn 2.61
3 La 0.0000 0.0000 0.0000  8 Zn 3.26, 8 Al 3.49
4 Zn 0.6132 0.6132 0.2264  1 Zn 2.50, 4 Al 2.61
5 Zn 0.3868 0.3868 0.7736  1 Zn 2.50, 4 Al 2.61

E: -3.45 eV per atom
ΔE_f: -0.46 eV/atom


6.
This record from Materials Project describes Li9Al4 after structural relaxation. The functional is GGA-PBE.

a b c (Å): 9.6087 9.6087 5.3684
angles (deg): 75.19 75.19 26.91
With the nearest neighbours (Å) after each atom.
Fractional coordinates of all 13 atoms:
1 Al 0.8492 0.8492 0.2167  2 Al 2.69, 6 Li 2.75-2.90
2 Al 0.1508 0.1508 0.7833  2 Al 2.69, 6 Li 2.75-2.90
3 Al 0.3857 0.3857 0.9341  2 Al 2.69, 6 Li 2.71-2.92
4 Al 0.6143 0.6143 0.0659  2 Al 2.69, 6 Li 2.71-2.92
5 Li 0.4564 0.4564 0.3259  6 Li 2.70-2.82, 2 Al 2.76-2.91
6 Li 0.2329 0.2329 0.1574  6 Li 2.68-2.79, 2 Al 2.79-2.83
7 Li 0.5436 0.5436 0.6741  6 Li 2.70-2.82, 2 Al 2.76-2.91
8 Li 0.9141 0.9141 0.6407  4 Li 2.68-2.82, 3 Al 2.71-2.85
9 Li 0.0000 0.0000 0.0000  2 Al 2.75, 6 Li 2.82
10 Li 0.0859 0.0859 0.3593  4 Li 2.68-2.82, 3 Al 2.71-2.85
11 Li 0.6921 0.6921 0.4729  4 Li 2.70-2.79, 4 Al 2.77-2.92
12 Li 0.3079 0.3079 0.5271  4 Li 2.70-2.79, 4 Al 2.77-2.92
13 Li 0.7671 0.7671 0.8426  6 Li 2.68-2.79, 2 Al 2.79-2.83

E: -2.62 eV per atom
ΔE_f: -0.14 eV/atom